{
  "formula": "Mg6SiBi",
  "functional": "GGA-PBE",
  "state": "relaxed",
  "de_polymorph_mev_per_atom": 0,
  "lattice": [[5.108, 0.000, 0.000], [0.000, 6.095, 0.000], [0.000, 0.000, 11.850]],
  "species": ["Mg", "Mg", "Mg", "Si", "Bi", "Mg", "Mg", "Bi", "Mg", "Mg", "Mg", "Mg", "Mg", "Mg", "Si", "Mg"],
  "fractional_positions": [[0.000, 0.256, 0.578], [0.000, 0.500, 0.825], [0.000, 0.744, 0.578], [0.000, 0.500, 0.378], [0.500, 0.000, 0.652], [0.500, 0.243, 0.907], [0.500, 0.500, 0.673], [0.500, 0.500, 0.152], [0.500, 0.743, 0.407], [0.500, 0.257, 0.407], [0.500, 0.000, 0.173], [0.000, 0.756, 0.078], [0.000, 0.000, 0.325], [0.500, 0.757, 0.907], [0.000, 0.000, 0.878], [0.000, 0.244, 0.078]]
}



{
  "formula": "Y2Ge2O7",
  "functional": "GGA-PBE",
  "state": "relaxed",
  "crystal_system": "triclinic",
  "corrected_energy_ev_per_atom": -8.180,
  "de_polymorph_mev_per_atom": 28,
  "space_group": "No. 2",
  "lattice": [[6.847, 0.000, 0.000], [-0.314, 6.862, 0.000], [-0.642, -0.864, 12.360]],
  "species": ["Y", "Y", "Y", "Y", "Y", "Y", "Y", "Y", "Ge", "Ge", "Ge", "Ge", "Ge", "Ge", "Ge", "Ge", "O", "O", "O", "O", "O", "O", "O", "O", "O", "O", "O", "O", "O", "O", "O", "O", "O", "O", "O", "O", "O", "O", "O", "O", "O", "O", "O", "O"],
  "fractional_positions": [[0.046, 0.332, 0.113], [0.111, 0.081, 0.356], [0.315, 0.832, 0.119], [0.366, 0.230, 0.631], [0.634, 0.770, 0.369], [0.685, 0.168, 0.881], [0.889, 0.919, 0.644], [0.954, 0.668, 0.887], [0.145, 0.614, 0.378], [0.169, 0.147, 0.886], [0.390, 0.735, 0.603], [0.486, 0.668, 0.836], [0.514, 0.332, 0.164], [0.610, 0.265, 0.397], [0.831, 0.853, 0.114], [0.855, 0.386, 0.622], [0.001, 0.336, 0.918], [0.008, 0.020, 0.183], [0.039, 0.225, 0.582], [0.070, 0.396, 0.303], [0.225, 0.919, 0.622], [0.245, 0.096, 0.018], [0.291, 0.717, 0.919], [0.294, 0.787, 0.311], [0.296, 0.560, 0.493], [0.341, 0.492, 0.117], [0.366, 0.211, 0.812], [0.391, 0.554, 0.701], [0.397, 0.164, 0.451], [0.399, 0.131, 0.223], [0.601, 0.869, 0.777], [0.603, 0.836, 0.549], [0.609, 0.446, 0.299], [0.634, 0.789, 0.188], [0.659, 0.508, 0.883], [0.704, 0.440, 0.507], [0.706, 0.213, 0.689], [0.709, 0.283, 0.081], [0.755, 0.904, 0.982], [0.775, 0.081, 0.378], [0.930, 0.604, 0.697], [0.961, 0.775, 0.418], [0.992, 0.980, 0.817], [0.999, 0.664, 0.082]]
}



{
  "formula": "NaCaO3",
  "functional": "GGA-PBE",
  "state": "relaxed",
  "crystal_system": "cubic",
  "corrected_energy_ev_per_atom": -4.958,
  "space_group": "No. 221",
  "lattice": [[4.507, 0.000, 0.000], [0.000, 4.507, 0.000], [0.000, 0.000, 4.507]],
  "species": ["Na", "Ca", "O", "O", "O"],
  "fractional_positions": [[0.000, 0.000, 0.000], [0.500, 0.500, 0.500], [0.000, 0.500, 0.500], [0.500, 0.000, 0.500], [0.500, 0.500, 0.000]]
}



{
  "formula": "PaInO4",
  "functional": "GGA-PBE",
  "state": "relaxed",
  "crystal_system": "tetragonal",
  "corrected_energy_ev_per_atom": -8.485,
  "space_group": "No. 141",
  "lattice": [[-2.666, 2.666, 5.379], [2.666, -2.666, 5.379], [2.666, 2.666, -5.379]],
  "species": ["Pa", "Pa", "In", "In", "O", "O", "O", "O", "O", "O", "O", "O"],
  "fractional_positions": [[0.375, 0.625, 0.750], [0.625, 0.375, 0.250], [0.125, 0.875, 0.250], [0.875, 0.125, 0.750], [0.000, 0.255, 0.255], [0.000, 0.745, 0.745], [0.255, 0.000, 0.755], [0.255, 0.500, 0.255], [0.500, 0.255, 0.755], [0.500, 0.745, 0.245], [0.745, 0.000, 0.245], [0.745, 0.500, 0.745]]
}



| no. | energy of formation (meV per atom) | energy (eV per atom) |
| --- | --- | --- |
| 1 | 27.3 | -2.34 |
| 2 | -3014.8 | -7.74 |
| 3 | -1323.9 | -4.55 |
| 4 | -3141.6 | -8.03 |